1.
Compound: V2Re2O11
Source: Materials Project
Functional: GGA+U
Structure: relaxed

The structure in CIF format:
```
data_V2Re2O11
_chemical_formula_sum 'V4 Re4 O22'
_space_group_name_H-M_alt 'P 1'
_space_group_IT_number 1
_space_group_name_Hall 'P 1'
_cell_length_a 9.624
_cell_length_b 9.624
_cell_length_c 8.124
_cell_angle_alpha 90.00
_cell_angle_beta 90.00
_cell_angle_gamma 139.50
loop_
_atom_site_label
_atom_site_type_symbol
_atom_site_fract_x
_atom_site_fract_y
_atom_site_fract_z
V1 V 0.067 0.933 0.500
V2 V 0.253 0.747 0.340
V3 V 0.747 0.253 0.840
V4 V 0.933 0.067 0.000
Re1 Re 0.189 0.811 0.949
Re2 Re 0.495 0.505 0.583
Re3 Re 0.505 0.495 0.083
Re4 Re 0.811 0.189 0.449
O1 O 0.014 0.986 0.340
O2 O 0.070 0.485 0.445
O3 O 0.105 0.895 0.046
O4 O 0.159 0.841 0.396
O5 O 0.174 0.826 0.736
O6 O 0.227 0.330 0.087
O7 O 0.269 0.731 0.119
O8 O 0.330 0.227 0.587
O9 O 0.429 0.571 0.736
O10 O 0.444 0.556 0.403
O11 O 0.485 0.070 0.945
O12 O 0.515 0.930 0.445
O13 O 0.556 0.444 0.903
O14 O 0.571 0.429 0.236
O15 O 0.670 0.773 0.087
O16 O 0.731 0.269 0.619
O17 O 0.773 0.670 0.587
O18 O 0.826 0.174 0.236
O19 O 0.841 0.159 0.896
O20 O 0.895 0.105 0.546
O21 O 0.930 0.515 0.945
O22 O 0.986 0.014 0.840
```

2.
Compound: V2Re2O11
Source: Materials Project
Functional: GGA+U
Structure: relaxed

The structure in CIF format:
```
data_V2Re2O11
_chemical_formula_sum 'V4 Re4 O22'
_space_group_name_H-M_alt 'P 1'
_space_group_IT_number 1
_space_group_name_Hall 'P 1'
_cell_length_a 7.660
_cell_length_b 7.660
_cell_length_c 9.096
_cell_angle_alpha 90.00
_cell_angle_beta 90.00
_cell_angle_gamma 125.57
loop_
_atom_site_label
_atom_site_type_symbol
_atom_site_fract_x
_atom_site_fract_y
_atom_site_fract_z
V1 V 0.054 0.946 0.500
V2 V 0.247 0.753 0.272
V3 V 0.753 0.247 0.772
V4 V 0.946 0.054 0.000
Re1 Re 0.202 0.798 0.843
Re2 Re 0.495 0.505 0.473
Re3 Re 0.505 0.495 0.973
Re4 Re 0.798 0.202 0.343
O1 O 0.072 0.483 0.344
O2 O 0.081 0.919 0.943
O3 O 0.123 0.877 0.322
O4 O 0.157 0.843 0.657
O5 O 0.228 0.339 0.023
O6 O 0.247 0.753 0.088
O7 O 0.329 0.671 0.834
O8 O 0.339 0.228 0.523
O9 O 0.384 0.616 0.563
O10 O 0.463 0.537 0.289
O11 O 0.483 0.072 0.844
O12 O 0.517 0.928 0.344
O13 O 0.537 0.463 0.789
O14 O 0.616 0.384 0.063
O15 O 0.661 0.772 0.023
O16 O 0.671 0.329 0.334
O17 O 0.753 0.247 0.588
O18 O 0.772 0.661 0.523
O19 O 0.843 0.157 0.157
O20 O 0.877 0.123 0.822
O21 O 0.919 0.081 0.443
O22 O 0.928 0.517 0.844
```

Which of them is least stable? Easy: 1.

1.
Compound: ReWO6
Source: Materials Project
Functional: GGA+U
Structure: relaxed

The structure in CIF format:
```
data_ReWO6
_chemical_formula_sum 'Re1 W1 O6'
_space_group_name_H-M_alt 'P 1'
_space_group_IT_number 1
_space_group_name_Hall 'P 1'
_cell_length_a 5.420
_cell_length_b 5.420
_cell_length_c 5.420
_cell_angle_alpha 60.00
_cell_angle_beta 60.00
_cell_angle_gamma 60.00
loop_
_atom_site_label
_atom_site_type_symbol
_atom_site_fract_x
_atom_site_fract_y
_atom_site_fract_z
Re1 Re 0.000 0.000 0.000
W1 W 0.500 0.500 0.500
O1 O 0.247 0.247 0.753
O2 O 0.247 0.753 0.247
O3 O 0.247 0.753 0.753
O4 O 0.753 0.247 0.247
O5 O 0.753 0.247 0.753
O6 O 0.753 0.753 0.247
```

2.
Compound: ReWO6
Source: Materials Project
Functional: GGA+U
Structure: relaxed

The structure in CIF format:
```
data_ReWO6
_chemical_formula_sum 'Re2 W2 O12'
_space_group_name_H-M_alt 'P 1'
_space_group_IT_number 1
_space_group_name_Hall 'P 1'
_cell_length_a 5.330
_cell_length_b 5.383
_cell_length_c 9.265
_cell_angle_alpha 90.00
_cell_angle_beta 125.11
_cell_angle_gamma 90.00
loop_
_atom_site_label
_atom_site_type_symbol
_atom_site_fract_x
_atom_site_fract_y
_atom_site_fract_z
Re1 Re 0.000 0.000 0.000
Re2 Re 0.000 0.500 0.500
W1 W 0.500 0.000 0.500
W2 W 0.500 0.500 0.000
O1 O 0.192 0.224 0.474
O2 O 0.192 0.276 0.974
O3 O 0.251 0.718 0.474
O4 O 0.251 0.782 0.974
O5 O 0.300 0.006 0.247
O6 O 0.300 0.494 0.747
O7 O 0.700 0.506 0.253
O8 O 0.700 0.994 0.753
O9 O 0.749 0.218 0.026
O10 O 0.749 0.282 0.526
O11 O 0.808 0.724 0.026
O12 O 0.808 0.776 0.526
```

Which of them is least stable? Easy: 2.

1.
Compound: V2S3O12
Source: Materials Project
Functional: GGA+U
Structure: relaxed

The structure in CIF format:
```
data_V2S3O12
_chemical_formula_sum 'V4 S6 O24'
_space_group_name_H-M_alt 'P 1'
_space_group_IT_number 1
_space_group_name_Hall 'P 1'
_cell_length_a 7.716
_cell_length_b 7.716
_cell_length_c 8.669
_cell_angle_alpha 110.26
_cell_angle_beta 110.26
_cell_angle_gamma 64.84
loop_
_atom_site_label
_atom_site_type_symbol
_atom_site_fract_x
_atom_site_fract_y
_atom_site_fract_z
V1 V 0.120 0.628 0.980
V2 V 0.372 0.880 0.520
V3 V 0.628 0.120 0.480
V4 V 0.880 0.372 0.020
S1 S 0.022 0.263 0.668
S2 S 0.263 0.022 0.168
S3 S 0.446 0.554 0.750
S4 S 0.554 0.446 0.250
S5 S 0.737 0.978 0.832
S6 S 0.978 0.737 0.332
O1 O 0.032 0.367 0.862
O2 O 0.039 0.591 0.424
O3 O 0.108 0.852 0.382
O4 O 0.123 0.230 0.169
O5 O 0.148 0.892 0.118
O6 O 0.230 0.123 0.669
O7 O 0.281 0.593 0.820
O8 O 0.367 0.032 0.362
O9 O 0.369 0.466 0.114
O10 O 0.407 0.719 0.680
O11 O 0.409 0.961 0.076
O12 O 0.466 0.369 0.614
O13 O 0.534 0.631 0.386
O14 O 0.591 0.039 0.924
O15 O 0.593 0.281 0.320
O16 O 0.631 0.534 0.886
O17 O 0.633 0.968 0.638
O18 O 0.719 0.407 0.180
O19 O 0.770 0.877 0.331
O20 O 0.852 0.108 0.882
O21 O 0.877 0.770 0.831
O22 O 0.892 0.148 0.618
O23 O 0.961 0.409 0.576
O24 O 0.968 0.633 0.138
```

2.
Compound: V2S3O12
Source: Materials Project
Functional: GGA+U
Structure: relaxed

The structure in CIF format:
```
data_V2S3O12
_chemical_formula_sum 'V8 S12 O48'
_space_group_name_H-M_alt 'P 1'
_space_group_IT_number 1
_space_group_name_Hall 'P 1'
_cell_length_a 8.503
_cell_length_b 8.685
_cell_length_c 14.608
_cell_angle_alpha 90.00
_cell_angle_beta 125.04
_cell_angle_gamma 90.00
loop_
_atom_site_label
_atom_site_type_symbol
_atom_site_fract_x
_atom_site_fract_y
_atom_site_fract_z
V1 V 0.132 0.033 0.383
V2 V 0.132 0.467 0.883
V3 V 0.365 0.038 0.116
V4 V 0.365 0.462 0.616
V5 V 0.635 0.538 0.384
V6 V 0.635 0.962 0.884
V7 V 0.868 0.533 0.117
V8 V 0.868 0.967 0.617
S1 S 0.041 0.748 0.507
S2 S 0.041 0.752 0.007
S3 S 0.250 0.118 0.851
S4 S 0.250 0.382 0.351
S5 S 0.464 0.611 0.855
S6 S 0.464 0.889 0.355
S7 S 0.536 0.111 0.645
S8 S 0.536 0.389 0.145
S9 S 0.750 0.618 0.649
S10 S 0.750 0.882 0.149
S11 S 0.959 0.248 0.993
S12 S 0.959 0.252 0.493
O1 O 0.019 0.630 0.931
O2 O 0.019 0.870 0.431
O3 O 0.025 0.690 0.097
O4 O 0.025 0.810 0.597
O5 O 0.071 0.026 0.777
O6 O 0.071 0.474 0.277
O7 O 0.112 0.133 0.062
O8 O 0.112 0.367 0.562
O9 O 0.211 0.215 0.328
O10 O 0.211 0.285 0.828
O11 O 0.231 0.673 0.561
O12 O 0.231 0.827 0.061
O13 O 0.316 0.619 0.879
O14 O 0.316 0.881 0.379
O15 O 0.328 0.082 0.968
O16 O 0.328 0.418 0.468
O17 O 0.347 0.067 0.543
O18 O 0.347 0.433 0.043
O19 O 0.391 0.078 0.826
O20 O 0.391 0.422 0.326
O21 O 0.409 0.004 0.268
O22 O 0.409 0.496 0.768
O23 O 0.482 0.734 0.318
O24 O 0.482 0.766 0.818
O25 O 0.518 0.234 0.182
O26 O 0.518 0.266 0.682
O27 O 0.591 0.504 0.232
O28 O 0.591 0.996 0.732
O29 O 0.609 0.578 0.674
O30 O 0.609 0.922 0.174
O31 O 0.653 0.567 0.957
O32 O 0.653 0.933 0.457
O33 O 0.672 0.582 0.532
O34 O 0.672 0.918 0.032
O35 O 0.684 0.119 0.621
O36 O 0.684 0.381 0.121
O37 O 0.769 0.173 0.939
O38 O 0.769 0.327 0.439
O39 O 0.789 0.715 0.172
O40 O 0.789 0.785 0.672
O41 O 0.888 0.633 0.438
O42 O 0.888 0.867 0.938
O43 O 0.929 0.526 0.723
O44 O 0.929 0.974 0.223
O45 O 0.975 0.190 0.403
O46 O 0.975 0.310 0.903
O47 O 0.981 0.130 0.569
O48 O 0.981 0.370 0.069
```

Which of them is least stable? Easy: 1.

1.
Compound: VSO8
Source: Materials Project
Functional: GGA+U
Structure: relaxed

The structure in CIF format:
```
data_VSO8
_chemical_formula_sum 'V4 S4 O32'
_space_group_name_H-M_alt 'P 1'
_space_group_IT_number 1
_space_group_name_Hall 'P 1'
_cell_length_a 5.880
_cell_length_b 14.014
_cell_length_c 9.828
_cell_angle_alpha 90.00
_cell_angle_beta 125.32
_cell_angle_gamma 90.00
loop_
_atom_site_label
_atom_site_type_symbol
_atom_site_fract_x
_atom_site_fract_y
_atom_site_fract_z
V1 V 0.153 0.111 0.271
V2 V 0.153 0.389 0.771
V3 V 0.847 0.611 0.229
V4 V 0.847 0.889 0.729
S1 S 0.486 0.100 0.677
S2 S 0.486 0.400 0.177
S3 S 0.514 0.600 0.823
S4 S 0.514 0.900 0.323
O1 O 0.087 0.229 0.265
O2 O 0.087 0.271 0.765
O3 O 0.192 0.572 0.347
O4 O 0.192 0.928 0.847
O5 O 0.214 0.128 0.106
O6 O 0.214 0.372 0.606
O7 O 0.266 0.075 0.499
O8 O 0.266 0.425 0.999
O9 O 0.271 0.536 0.756
O10 O 0.271 0.964 0.256
O11 O 0.368 0.093 0.775
O12 O 0.368 0.407 0.275
O13 O 0.428 0.701 0.804
O14 O 0.428 0.799 0.304
O15 O 0.439 0.628 0.134
O16 O 0.439 0.872 0.634
O17 O 0.561 0.128 0.366
O18 O 0.561 0.372 0.866
O19 O 0.572 0.201 0.696
O20 O 0.572 0.299 0.196
O21 O 0.632 0.593 0.725
O22 O 0.632 0.907 0.225
O23 O 0.729 0.036 0.744
O24 O 0.729 0.464 0.244
O25 O 0.734 0.575 0.001
O26 O 0.734 0.925 0.501
O27 O 0.786 0.628 0.394
O28 O 0.786 0.872 0.894
O29 O 0.808 0.072 0.153
O30 O 0.808 0.428 0.653
O31 O 0.913 0.729 0.235
O32 O 0.913 0.771 0.735
```

2.
Compound: VSO8
Source: Materials Project
Functional: GGA+U
Structure: relaxed

The structure in CIF format:
```
data_VSO8
_chemical_formula_sum 'V4 S4 O32'
_space_group_name_H-M_alt 'P 1'
_space_group_IT_number 1
_space_group_name_Hall 'P 1'
_cell_length_a 7.423
_cell_length_b 9.724
_cell_length_c 11.904
_cell_angle_alpha 90.00
_cell_angle_beta 114.70
_cell_angle_gamma 90.00
loop_
_atom_site_label
_atom_site_type_symbol
_atom_site_fract_x
_atom_site_fract_y
_atom_site_fract_z
V1 V 0.216 0.117 0.139
V2 V 0.216 0.383 0.639
V3 V 0.784 0.617 0.361
V4 V 0.784 0.883 0.861
S1 S 0.250 0.649 0.476
S2 S 0.250 0.851 0.976
S3 S 0.750 0.149 0.024
S4 S 0.750 0.351 0.524
O1 O 0.038 0.690 0.462
O2 O 0.038 0.810 0.962
O3 O 0.186 0.512 0.116
O4 O 0.186 0.988 0.616
O5 O 0.205 0.042 0.259
O6 O 0.205 0.458 0.759
O7 O 0.217 0.022 0.527
O8 O 0.217 0.478 0.027
O9 O 0.252 0.632 0.356
O10 O 0.252 0.868 0.856
O11 O 0.285 0.508 0.540
O12 O 0.285 0.992 0.040
O13 O 0.377 0.245 0.191
O14 O 0.377 0.255 0.691
O15 O 0.390 0.748 0.557
O16 O 0.390 0.752 0.057
O17 O 0.610 0.248 0.943
O18 O 0.610 0.252 0.443
O19 O 0.623 0.745 0.309
O20 O 0.623 0.755 0.809
O21 O 0.715 0.008 0.960
O22 O 0.715 0.492 0.460
O23 O 0.748 0.132 0.144
O24 O 0.748 0.368 0.644
O25 O 0.783 0.522 0.973
O26 O 0.783 0.978 0.473
O27 O 0.795 0.542 0.241
O28 O 0.795 0.958 0.741
O29 O 0.814 0.012 0.384
O30 O 0.814 0.488 0.884
O31 O 0.962 0.190 0.038
O32 O 0.962 0.310 0.538
```

Which of them is least stable? Easy: 1.

1.
Compound: Sc2W3O12
Source: Materials Project
Functional: GGA+U
Structure: relaxed

The structure in CIF format:
```
data_Sc2W3O12
_chemical_formula_sum 'Sc4 W6 O24'
_space_group_name_H-M_alt 'P 1'
_space_group_IT_number 1
_space_group_name_Hall 'P 1'
_cell_length_a 6.974
_cell_length_b 5.807
_cell_length_c 11.046
_cell_angle_alpha 90.00
_cell_angle_beta 106.00
_cell_angle_gamma 90.00
loop_
_atom_site_label
_atom_site_type_symbol
_atom_site_fract_x
_atom_site_fract_y
_atom_site_fract_z
Sc1 Sc 0.180 0.162 0.093
Sc2 Sc 0.180 0.838 0.593
Sc3 Sc 0.820 0.162 0.407
Sc4 Sc 0.820 0.838 0.907
W1 W 0.000 0.322 0.750
W2 W 0.000 0.678 0.250
W3 W 0.338 0.332 0.424
W4 W 0.338 0.668 0.924
W5 W 0.662 0.332 0.076
W6 W 0.662 0.668 0.576
O1 O 0.144 0.383 0.928
O2 O 0.144 0.617 0.428
O3 O 0.145 0.130 0.455
O4 O 0.145 0.870 0.955
O5 O 0.168 0.118 0.709
O6 O 0.168 0.882 0.209
O7 O 0.192 0.392 0.243
O8 O 0.192 0.608 0.743
O9 O 0.468 0.401 0.592
O10 O 0.468 0.599 0.092
O11 O 0.481 0.134 0.111
O12 O 0.481 0.866 0.611
O13 O 0.519 0.134 0.389
O14 O 0.519 0.866 0.889
O15 O 0.532 0.401 0.908
O16 O 0.532 0.599 0.408
O17 O 0.808 0.392 0.257
O18 O 0.808 0.608 0.757
O19 O 0.832 0.118 0.791
O20 O 0.832 0.882 0.291
O21 O 0.855 0.130 0.045
O22 O 0.855 0.870 0.545
O23 O 0.856 0.383 0.572
O24 O 0.856 0.617 0.072
```

2.
Compound: Sc2W3O12
Source: Materials Project
Functional: GGA+U
Structure: relaxed

The structure in CIF format:
```
data_Sc2W3O12
_chemical_formula_sum 'Sc8 W12 O48'
_space_group_name_H-M_alt 'P 1'
_space_group_IT_number 1
_space_group_name_Hall 'P 1'
_cell_length_a 13.676
_cell_length_b 9.774
_cell_length_c 9.866
_cell_angle_alpha 90.00
_cell_angle_beta 90.00
_cell_angle_gamma 90.00
loop_
_atom_site_label
_atom_site_type_symbol
_atom_site_fract_x
_atom_site_fract_y
_atom_site_fract_z
Sc1 Sc 0.118 0.250 0.032
Sc2 Sc 0.118 0.750 0.532
Sc3 Sc 0.382 0.250 0.532
Sc4 Sc 0.382 0.750 0.032
Sc5 Sc 0.618 0.250 0.968
Sc6 Sc 0.618 0.750 0.468
Sc7 Sc 0.882 0.250 0.468
Sc8 Sc 0.882 0.750 0.968
W1 W 0.000 0.026 0.750
W2 W 0.000 0.974 0.250
W3 W 0.144 0.392 0.385
W4 W 0.144 0.608 0.885
W5 W 0.356 0.108 0.885
W6 W 0.356 0.892 0.385
W7 W 0.500 0.474 0.250
W8 W 0.500 0.526 0.750
W9 W 0.644 0.108 0.615
W10 W 0.644 0.892 0.115
W11 W 0.856 0.392 0.115
W12 W 0.856 0.608 0.615
O1 O 0.028 0.318 0.435
O2 O 0.028 0.682 0.935
O3 O 0.065 0.133 0.870
O4 O 0.065 0.867 0.370
O5 O 0.087 0.081 0.162
O6 O 0.087 0.919 0.662
O7 O 0.140 0.425 0.913
O8 O 0.140 0.575 0.413
O9 O 0.163 0.359 0.207
O10 O 0.163 0.641 0.707
O11 O 0.241 0.317 0.486
O12 O 0.241 0.683 0.986
O13 O 0.259 0.183 0.986
O14 O 0.259 0.817 0.486
O15 O 0.337 0.141 0.707
O16 O 0.337 0.859 0.207
O17 O 0.360 0.075 0.413
O18 O 0.360 0.925 0.913
O19 O 0.413 0.419 0.662
O20 O 0.413 0.581 0.162
O21 O 0.435 0.367 0.370
O22 O 0.435 0.633 0.870
O23 O 0.472 0.182 0.935
O24 O 0.472 0.818 0.435
O25 O 0.528 0.182 0.565
O26 O 0.528 0.818 0.065
O27 O 0.565 0.367 0.130
O28 O 0.565 0.633 0.630
O29 O 0.587 0.419 0.838
O30 O 0.587 0.581 0.338
O31 O 0.640 0.075 0.087
O32 O 0.640 0.925 0.587
O33 O 0.663 0.141 0.793
O34 O 0.663 0.859 0.293
O35 O 0.741 0.183 0.514
O36 O 0.741 0.817 0.014
O37 O 0.759 0.317 0.014
O38 O 0.759 0.683 0.514
O39 O 0.837 0.359 0.293
O40 O 0.837 0.641 0.793
O41 O 0.860 0.425 0.587
O42 O 0.860 0.575 0.087
O43 O 0.913 0.081 0.338
O44 O 0.913 0.919 0.838
O45 O 0.935 0.133 0.630
O46 O 0.935 0.867 0.130
O47 O 0.972 0.318 0.065
O48 O 0.972 0.682 0.565
```

Which of them is least stable? Easy: 1.